No. 1
# Pr2Ge6Au

An optimized crystal structure of Pr2Ge6Au (PBE, the Materials Project database).

Computed properties:
DFT total energy = -4.921 eV per atom
Spin magnetization = 0.0007 μB per atom
ρ = 7.56 g cm⁻³
V = 22.3 Å³ per atom

Structure (POSCAR):
```
Pr2Ge6Au
1.0
0.000 4.212 0.000
4.234 0.000 0.000
0.000 -2.106 -11.272
Ge Au Pr
6 1 2
Direct
0.382 0.500 0.763 Ge
0.234 0.000 0.469 Ge
0.671 0.000 0.341 Ge
0.992 0.000 0.984 Ge
0.492 0.500 0.985 Ge
0.881 0.000 0.762 Ge
0.559 0.000 0.118 Au
0.779 0.500 0.559 Pr
0.117 0.500 0.234 Pr
```



No. 2
# Na2Sc4Ta4Si5S7O48

An optimized crystal structure of Na2Sc4Ta4Si5S7O48 (PBE, the Materials Project database).

Computed properties:
DFT total energy = -7.565 eV per atom
Spin magnetization = 0.0000 μB per atom
ρ = 3.30 g cm⁻³
V = 15.0 Å³ per atom

Structure (POSCAR):
```
Na2Sc4Ta4Si5S7O48
1.0
-1.494 -12.653 12.381
6.333 -0.571 -6.199
14.411 11.639 13.670
O S Si Ta Na Sc
144 21 15 12 6 12
Direct
0.682 0.878 0.865 O
0.928 0.496 0.140 O
0.481 0.159 0.307 O
0.349 0.539 0.527 O
0.911 0.035 0.803 O
0.514 0.826 0.409 O
0.270 0.846 0.470 O
0.586 0.481 0.974 O
0.412 0.311 0.240 O
0.242 0.298 0.741 O
0.919 0.308 0.241 O
0.979 0.801 0.807 O
0.414 0.810 0.601 O
0.255 0.368 0.140 O
0.595 0.032 0.307 O
0.940 0.366 0.635 O
0.243 0.356 0.425 O
0.565 0.642 0.365 O
0.747 0.848 0.071 O
0.678 0.484 0.365 O
0.078 0.966 0.908 O
0.934 0.357 0.923 O
0.419 0.298 0.525 O
0.254 0.870 0.076 O
0.429 0.363 0.640 O
0.907 0.801 0.589 O
0.075 0.456 0.970 O
0.440 0.514 0.136 O
0.242 0.122 0.635 O
0.733 0.166 0.526 O
0.586 0.960 0.915 O
0.490 0.169 0.595 O
0.063 0.483 0.865 O
0.480 0.782 0.802 O
0.155 0.830 0.974 O
0.228 0.148 0.530 O
0.743 0.361 0.135 O
0.758 0.871 0.366 O
0.847 0.532 0.240 O
0.426 0.542 0.031 O
0.163 0.480 0.763 O
0.848 0.545 0.531 O
0.567 0.495 0.861 O
0.818 0.125 0.424 O
0.399 0.967 0.409 O
0.820 0.514 0.923 O
0.514 0.186 0.915 O
0.771 0.689 0.256 O
0.234 0.298 0.028 O
0.247 0.645 0.570 O
0.849 0.167 0.743 O
0.089 0.205 0.693 O
0.756 0.143 0.639 O
0.427 0.361 0.925 O
0.893 0.976 0.698 O
0.401 0.981 0.696 O
0.080 0.684 0.759 O
0.182 0.486 0.365 O
0.182 0.868 0.574 O
0.605 0.163 0.807 O
0.897 0.829 0.910 O
0.259 0.871 0.365 O
0.911 0.785 0.302 O
0.581 0.184 0.694 O
0.009 0.822 0.692 O
0.757 0.644 0.865 O
0.414 0.795 0.304 O
0.395 0.813 0.199 O
0.350 0.152 0.032 O
0.989 0.810 0.095 O
0.740 0.351 0.423 O
0.086 0.211 0.415 O
0.918 0.539 0.026 O
0.914 0.018 0.101 O
0.348 0.163 0.739 O
0.926 0.310 0.531 O
0.924 0.494 0.425 O
0.582 0.472 0.263 O
0.490 0.799 0.090 O
0.270 0.684 0.262 O
0.182 0.510 0.071 O
0.267 0.691 0.970 O
0.084 0.688 0.474 O
0.315 0.494 0.640 O
0.742 0.187 0.243 O
0.659 0.480 0.755 O
0.681 0.855 0.571 O
0.072 0.638 0.073 O
0.584 0.201 0.409 O
0.068 0.493 0.574 O
0.096 0.159 0.807 O
0.076 0.457 0.255 O
0.912 0.515 0.739 O
0.578 0.693 0.470 O
0.819 0.514 0.635 O
0.897 0.971 0.414 O
0.898 0.819 0.197 O
0.241 0.174 0.237 O
0.576 0.695 0.754 O
0.181 0.862 0.860 O
0.409 0.017 0.091 O
0.011 0.199 0.909 O
0.601 0.183 0.089 O
0.595 0.014 0.597 O
0.849 0.160 0.028 O
0.568 0.643 0.074 O
0.096 0.178 0.097 O
0.065 0.636 0.361 O
0.768 0.855 0.760 O
0.081 0.978 0.194 O
0.652 0.459 0.469 O
0.815 0.135 0.140 O
0.436 0.514 0.423 O
0.510 0.196 0.193 O
0.272 0.852 0.753 O
0.159 0.474 0.470 O
0.259 0.643 0.865 O
0.398 0.827 0.913 O
0.106 0.046 0.307 O
0.100 0.017 0.588 O
0.728 0.308 0.030 O
0.012 0.841 0.415 O
0.159 0.838 0.256 O
0.752 0.636 0.573 O
0.411 0.038 0.801 O
0.322 0.128 0.423 O
0.351 0.536 0.245 O
0.765 0.840 0.470 O
0.508 0.816 0.697 O
0.419 0.531 0.741 O
0.740 0.306 0.738 O
0.249 0.148 0.921 O
0.659 0.843 0.970 O
0.573 0.503 0.570 O
0.321 0.516 0.925 O
0.682 0.496 0.075 O
0.743 0.131 0.925 O
0.989 0.180 0.588 O
0.588 0.973 0.193 O
0.321 0.129 0.136 O
0.007 0.199 0.198 O
0.768 0.692 0.970 O
0.980 0.178 0.302 O
0.661 0.847 0.263 O
0.855 0.999 0.751 S
0.311 0.954 0.416 S
0.356 0.710 0.251 S
0.666 0.379 0.416 S
0.858 0.711 0.249 S
0.168 0.381 0.417 S
0.810 0.952 0.417 S
0.834 0.623 0.582 S
0.999 0.284 0.249 S
0.022 0.376 0.915 S
0.978 0.333 0.583 S
0.311 0.669 0.917 S
0.334 0.044 0.082 S
0.811 0.669 0.916 S
0.500 0.714 0.749 S
0.689 0.334 0.082 S
0.668 0.954 0.916 S
0.478 0.623 0.082 S
0.357 0.003 0.748 S
0.523 0.668 0.416 S
0.189 0.044 0.582 S
0.976 0.618 0.083 Si
0.692 0.052 0.583 Si
0.641 0.286 0.750 Si
0.019 0.664 0.417 Si
0.001 0.711 0.749 Si
0.146 0.293 0.750 Si
0.499 0.292 0.248 Si
0.832 0.039 0.082 Si
0.332 0.624 0.583 Si
0.647 0.006 0.249 Si
0.142 0.998 0.250 Si
0.520 0.375 0.917 Si
0.193 0.340 0.082 Si
0.474 0.332 0.583 Si
0.170 0.953 0.915 Si
0.165 0.668 0.522 Ta
0.665 0.669 0.526 Ta
0.005 0.000 0.140 Ta
0.830 0.327 0.691 Ta
0.329 0.328 0.188 Ta
0.665 0.663 0.021 Ta
0.834 0.323 0.186 Ta
0.504 0.010 0.641 Ta
0.334 0.345 0.687 Ta
0.162 0.667 0.023 Ta
0.009 0.995 0.855 Ta
0.503 0.012 0.352 Ta
0.833 0.337 0.836 Na
0.498 0.004 0.996 Na
0.331 0.327 0.333 Na
0.332 0.324 0.840 Na
0.001 0.994 0.497 Na
0.838 0.340 0.335 Na
0.328 0.325 0.976 Sc
0.840 0.334 0.984 Sc
0.007 0.993 0.354 Sc
0.505 0.019 0.855 Sc
0.339 0.345 0.485 Sc
0.658 0.645 0.811 Sc
0.833 0.331 0.480 Sc
0.006 0.005 0.653 Sc
0.166 0.673 0.808 Sc
0.666 0.670 0.306 Sc
0.505 0.007 0.151 Sc
0.157 0.671 0.310 Sc
```



Q: Look up the V of the second one.
A: 15.0 Å³ per atom



Q: The highest ρ belongs to which entry?
A: Pr2Ge6Au



Q: Which value of spin magnetization does entry 2 give?
A: 0.0000 μB per atom